HoCu5 | meta-GGA r2SCAN | relaxed

Summary:
The crystal system is cubic. Its formation energy is -188 meV per atom.

abc: 6.9377 6.9377 6.9377
angles: 90.00 90.00 90.00
Closest atoms and distances in Å follow each position.
Space group F-43m (No. 216)
Unique sites:
Ho 0.0000 0.0000 0.0000 (multiplicity 4)  16 Cu 2.88-3.00
Cu 0.1240 0.1240 0.3760 (multiplicity 16)  6 Cu 2.43-2.47
Cu 0.2500 0.2500 0.7500 (multiplicity 4)  12 Cu 2.87, 4 Ho 3.00

***

BaIBr | meta-GGA r2SCAN | relaxed

Summary:
The crystal system is orthorhombic. Its formation energy is -2315 meV per atom.

abc: 8.8145 5.1243 10.1917
angles: 90.00 90.00 90.00
Closest atoms and distances in Å follow each position.
Space group Pnma (No. 62)
Unique sites:
Ba 0.2288 0.2500 0.1249 (multiplicity 4)  4 Br 3.31-3.34, 1 I 3.67
I 0.0284 0.7500 0.3318 (multiplicity 4)  5 Ba 3.67-3.76, 4 Br 4.00-4.02
Br 0.1435 0.7500 0.9333 (multiplicity 4)  4 Ba 3.31-3.34

***

LaCuPb | meta-GGA r2SCAN | relaxed

Summary:
The crystal system is hexagonal. Its formation energy is -537 meV per atom.

abc: 4.7006 4.7006 7.9628
angles: 90.00 90.00 120.00
Closest atoms and distances in Å follow each position.
Space group P6_3mc (No. 186)
Unique sites:
La 0.0000 0.0000 0.0000 (multiplicity 2)  3 Cu 3.12, 6 Pb 3.28-3.46
Cu 0.3333 0.6667 0.3065 (multiplicity 2)  3 Pb 2.78
Pb 0.3333 0.6667 0.7305 (multiplicity 2)  3 Cu 2.78

***

Cs3Te22 | meta-GGA r2SCAN | relaxed

Summary:
The crystal system is triclinic. Its relative energy among the computed polymorphs is 4 meV/atom. Its formation energy is -273 meV per atom.

abc: 9.6380 9.6394 12.5235
angles: 112.60 112.60 90.00
Closest atoms and distances in Å follow each position.
Space group P1 (No. 1)
Unique sites:
Cs 0.0000 0.0000 0.0000 (multiplicity 1)  16 Te 4.14-4.34
Cs 0.3252 0.3253 0.6508 (multiplicity 1)  8 Te 3.91-3.92
Cs 0.6503 0.6503 0.3014 (multiplicity 1)  16 Te 4.15-4.33
Te 0.0180 0.9248 0.6504 (multiplicity 1)  3 Te 2.95-3.12
Te 0.0346 0.8368 0.2697 (multiplicity 1)  2 Te 2.78-2.82
Te 0.0703 0.4938 0.4179 (multiplicity 1)  2 Te 2.79-2.82
Te 0.1553 0.3031 0.8831 (multiplicity 1)  2 Te 2.78-2.82
Te 0.2172 0.6161 0.0313 (multiplicity 1)  2 Te 2.78-2.81
Te 0.2356 0.4313 0.2696 (multiplicity 1)  2 Te 2.79-2.82
Te 0.3019 0.7270 0.8835 (multiplicity 1)  2 Te 2.79-2.81
Te 0.3258 0.8239 0.6501 (multiplicity 1)  2 Te 3.09-3.12
Te 0.3476 0.9228 0.4176 (multiplicity 1)  2 Te 2.78-2.82
Te 0.4143 0.2181 0.0309 (multiplicity 1)  2 Te 2.78-2.82
Te 0.4328 0.0335 0.2697 (multiplicity 1)  2 Te 2.78-2.82
Te 0.4946 0.3465 0.4172 (multiplicity 1)  2 Te 2.78-2.82
Te 0.5804 0.1564 0.8838 (multiplicity 1)  2 Te 2.78-2.81
Te 0.6153 0.8130 0.0315 (multiplicity 1)  2 Te 2.79-2.81
Te 0.6311 0.7253 0.6506 (multiplicity 1)  3 Te 2.95-3.09
Te 0.7259 0.0166 0.6505 (multiplicity 1)  3 Te 2.95-3.13
Te 0.7262 0.5814 0.8835 (multiplicity 1)  2 Te 2.79-2.81
Te 0.8121 0.4154 0.0311 (multiplicity 1)  2 Te 2.79-2.81
Te 0.8255 0.3257 0.6505 (multiplicity 1)  2 Te 3.09-3.13
Te 0.8377 0.2353 0.2698 (multiplicity 1)  2 Te 2.78-2.82
Te 0.9240 0.0700 0.4178 (multiplicity 1)  2 Te 2.78-2.82
Te 0.9253 0.6301 0.6506 (multiplicity 1)  3 Te 2.98-3.09

***

TbCoSi | meta-GGA r2SCAN | relaxed

Summary:
The crystal system is tetragonal. Its formation energy is -726 meV per atom.

abc: 4.0178 4.0178 6.5249
angles: 90.00 90.00 90.00
Closest atoms and distances in Å follow each position.
Space group P4/nmm (No. 129, origin choice 2)
Unique sites:
Tb 0.2500 0.2500 0.1871 (multiplicity 2)  4 Co 2.86, 4 Si 2.97
Co 0.2500 0.7500 0.5000 (multiplicity 2)  4 Si 2.33
Si 0.2500 0.2500 0.6810 (multiplicity 2)  4 Co 2.33

***

La5TlS8 | meta-GGA r2SCAN | relaxed

Summary:
The crystal system is tetragonal. Its formation energy is -2277 meV per atom.

abc: 8.8759 8.8759 8.7396
angles: 90.00 90.00 90.00
Closest atoms and distances in Å follow each position.
Space group I-4 (No. 82)
Unique sites:
La 0.0000 0.0000 0.0000 (multiplicity 2)  8 S 2.93-3.09
La 0.1337 0.2478 0.6198 (multiplicity 8)  7 S 2.88-3.12
Tl 0.0000 0.5000 0.2500 (multiplicity 2)  8 S 3.11-3.26
S 0.0746 0.3159 0.9364 (multiplicity 8)  4 La 2.88-3.10
S 0.0777 0.1624 0.3020 (multiplicity 8)  5 La 2.92-3.12, 1 Tl 3.11, 1 S 3.20

***

Question: Among the records above, which one has the lowest formation energy?
Answer: BaIBr

***

Question: Number 5 is which compound?
Answer: TbCoSi